No. 1
Compound: NpGa5Rh
Source: the Materials Project
Functional: r2SCAN
Structure: relaxed

Lattice parameters (Å, degrees): 4.2802 4.3021 6.8983 90.00 90.00 90.00
Last column: nearest neighbours and their distance in Å.
Space group Pmmm (No. 47)
Inequivalent atoms, fractional coordinates:
Np 0.0000 0.0000 0.0000 x1  12 Ga 2.99-3.03
Ga 0.0000 0.5000 0.3032 x2  2 Rh 2.54, 1 Ga 2.71
Ga 0.5000 0.0000 0.3035 x2  2 Rh 2.53, 1 Ga 2.71
Ga 0.5000 0.5000 0.0000 x1  8 Ga 2.99-3.00, 4 Np 3.03
Rh 0.0000 0.0000 0.5000 x1  8 Ga 2.53-2.54

Energy relative to the elements = -0.5664 eV/atom
Total magnetization = 0.531 μB/atom


No. 2
Compound: Sb2Te
Source: the Materials Project
Functional: r2SCAN
Structure: relaxed

Lattice parameters (Å, degrees): 4.3224 4.3224 18.2842 90.00 90.00 120.00
Last column: nearest neighbours and their distance in Å.
Space group P-3m1 (No. 164)
Inequivalent atoms, fractional coordinates:
Sb 0.0000 0.0000 0.1496 x2  3 Sb 2.92
Sb 0.3333 0.6667 0.0662 x2  3 Sb 2.92
Sb 0.3333 0.6667 0.3923 x2  6 Te 3.01-3.18
Te 0.0000 0.0000 0.5000 x1  6 Sb 3.18
Te 0.3333 0.6667 0.7002 x2  3 Sb 3.01

Energy relative to the elements = -0.0615 eV/atom
Total magnetization = 0.000 μB/atom


No. 3
Compound: Eu2TlZn
Source: the Materials Project
Functional: r2SCAN
Structure: relaxed

Lattice parameters (Å, degrees): 7.7431 7.7431 7.7431 90.00 90.00 90.00
Last column: nearest neighbours and their distance in Å.
Space group Fm-3m (No. 225)
Inequivalent atoms, fractional coordinates:
Eu 0.2500 0.2500 0.2500 x8  4 Tl 3.35, 4 Zn 3.35
Tl 0.0000 0.0000 0.0000 x4  8 Eu 3.35
Zn 0.0000 0.0000 0.5000 x4  8 Eu 3.35

Energy relative to the elements = -0.3856 eV/atom
Total magnetization = 3.572 μB/atom


No. 4
Compound: SiO2
Source: the Materials Project
Functional: r2SCAN
Structure: relaxed

Lattice parameters (Å, degrees): 6.9114 6.9114 6.4185 90.00 90.00 90.00
Last column: nearest neighbours and their distance in Å.
Space group P-4m2 (No. 115)
Inequivalent atoms, fractional coordinates:
Si 0.0000 0.0000 0.0000 x1  4 O 1.61
Si 0.0000 0.2696 0.3806 x4  4 O 1.59-1.62
O 0.0000 0.1917 0.1436 x4  2 Si 1.61
O 0.0000 0.5000 0.3795 x2  2 Si 1.59
O 0.1911 0.1911 0.5000 x4  2 Si 1.62

Energy relative to the elements = -3.0013 eV/atom
Total magnetization = 0.000 μB/atom


No. 5
Compound: Sb2Pt
Source: the Materials Project
Functional: r2SCAN
Structure: relaxed

Lattice parameters (Å, degrees): 6.4998 6.4998 6.4998 90.00 90.00 90.00
Last column: nearest neighbours and their distance in Å.
Space group Pa-3 (No. 205)
Inequivalent atoms, fractional coordinates:
Sb 0.1247 0.1247 0.1247 x8  3 Pt 2.70, 1 Sb 2.81
Pt 0.0000 0.0000 0.5000 x4  6 Sb 2.70

Energy relative to the elements = -0.5418 eV/atom
Total magnetization = 0.000 μB/atom


No. 6
Compound: BiTeO4
Source: the Materials Project
Functional: r2SCAN
Structure: relaxed

Lattice parameters (Å, degrees): 12.8107 5.5822 10.2644 90.00 114.76 90.00
Last column: nearest neighbours and their distance in Å.
Space group Cc (No. 9)
Inequivalent atoms, fractional coordinates:
Bi 0.0000 0.0386 0.0000 x4  7 O 2.35-2.63
Bi 0.2256 0.4557 0.5865 x4  5 O 2.21-2.39
Te 0.0012 0.4922 0.2398 x4  6 O 1.91-2.00
Te 0.2715 0.0797 0.8589 x4  3 O 1.89-1.98
O 0.0737 0.2793 0.4009 x4  1 Te 1.93
O 0.1022 0.2628 0.8604 x4  1 Te 1.93
O 0.1035 0.3786 0.1602 x4  1 Te 1.92
O 0.1842 0.0987 0.6527 x4  1 Te 1.94
O 0.3148 0.3968 0.8399 x4  1 Te 1.89
O 0.3928 0.0925 0.3248 x4  2 Te 1.98-2.00
O 0.4012 0.2545 0.6263 x4  1 Te 1.91
O 0.4267 0.2169 0.0879 x4  1 Te 1.92

Energy relative to the elements = -1.2810 eV/atom
Energy above the lowest structure with this stoichiometry = 0.00 eV per formula unit
Total magnetization = 0.000 μB/atom


No. 7
Compound: Hf9Re4As
Source: the Materials Project
Functional: r2SCAN
Structure: relaxed

Lattice parameters (Å, degrees): 8.6057 8.6057 8.5812 90.00 90.00 120.00
Last column: nearest neighbours and their distance in Å.
Space group P6_3/mmc (No. 194)
Inequivalent atoms, fractional coordinates:
Hf 0.0885 0.5442 0.2500 x6  2 Re 2.88, 1 As 3.14, 2 Hf 3.16
Hf 0.1915 0.3830 0.5498 x12  1 As 2.72, 4 Re 2.84-3.02, 2 Hf 2.98
Re 0.0000 0.0000 0.0000 x2  6 Re 2.70, 6 Hf 2.89
Re 0.1103 0.2206 0.2500 x6  4 Re 2.70-2.85, 8 Hf 2.84-3.02
As 0.3333 0.6667 0.7500 x2  6 Hf 2.72

Energy relative to the elements = -0.4786 eV/atom
Total magnetization = 0.000 μB/atom


No. 8
Compound: CsEuCl3
Source: the Materials Project
Functional: r2SCAN
Structure: relaxed

Lattice parameters (Å, degrees): 5.6331 5.6331 5.6331 90.00 90.00 90.00
Last column: nearest neighbours and their distance in Å.
Space group Pm-3m (No. 221)
Inequivalent atoms, fractional coordinates:
Cs 0.0000 0.0000 0.0000 x1  12 Cl 3.98
Eu 0.5000 0.5000 0.5000 x1  6 Cl 2.82
Cl 0.0000 0.5000 0.5000 x3  2 Eu 2.82

Energy relative to the elements = -2.4895 eV/atom
Total magnetization = 1.400 μB/atom


No. 9
Compound: SmCo2
Source: the Materials Project
Functional: r2SCAN
Structure: relaxed

Lattice parameters (Å, degrees): 7.2488 7.2488 7.2488 90.00 90.00 90.00
Last column: nearest neighbours and their distance in Å.
Space group Fd-3m (No. 227, origin choice 2)
Inequivalent atoms, fractional coordinates:
Sm 0.1250 0.1250 0.1250 x8  12 Co 3.01, 4 Sm 3.14
Co 0.0000 0.0000 0.5000 x16  6 Co 2.56

Energy relative to the elements = -0.0138 eV/atom
Total magnetization = 0.667 μB/atom


No. 10
Compound: HgI2
Source: the Materials Project
Functional: r2SCAN
Structure: relaxed

Lattice parameters (Å, degrees): 4.4604 4.4604 12.8676 90.00 90.00 90.00
Last column: nearest neighbours and their distance in Å.
Space group P4_2/nmc (No. 137, origin choice 2)
Inequivalent atoms, fractional coordinates:
Hg 0.2500 0.7500 0.2500 x2  4 I 2.84
I 0.2500 0.2500 0.1132 x4  2 Hg 2.84

Energy relative to the elements = -0.3503 eV/atom
Total magnetization = 0.000 μB/atom


No. 11
Compound: Na2Bi4O7
Source: the Materials Project
Functional: r2SCAN
Structure: relaxed

Lattice parameters (Å, degrees): 11.0141 17.2042 5.8782 90.00 119.18 90.00
Last column: nearest neighbours and their distance in Å.
Space group C2/c (No. 15)
Inequivalent atoms, fractional coordinates:
Na 0.0703 0.0856 0.0677 x8  5 O 2.28-2.50
Bi 0.1349 0.2473 0.6677 x8  4 O 2.11-2.30
Bi 0.1977 0.4298 0.2613 x8  3 O 2.07-2.28
O 0.0000 0.1809 0.7500 x4  2 Bi 2.11, 2 Na 2.32
O 0.1445 0.1396 0.4675 x8  2 Bi 2.07-2.23, 1 Na 2.28
O 0.1821 0.3104 0.0464 x8  3 Bi 2.14-2.37
O 0.1949 0.0164 0.9045 x8  2 Bi 2.08-2.28

Energy relative to the elements = -1.4185 eV/atom
Total magnetization = 0.000 μB/atom


No. 12
Compound: OsS2
Source: the Materials Project
Functional: r2SCAN
Structure: relaxed

Lattice parameters (Å, degrees): 5.6401 5.6401 5.6401 90.00 90.00 90.00
Last column: nearest neighbours and their distance in Å.
Space group Pa-3 (No. 205)
Inequivalent atoms, fractional coordinates:
Os 0.0000 0.0000 0.0000 x4  6 S 2.36
S 0.1147 0.6147 0.8853 x8  1 S 2.24, 3 Os 2.36

Energy relative to the elements = -0.4841 eV/atom
Total magnetization = 0.000 μB/atom